[1]
The following is a DFT calculation (PBE) of CeH3CSO7 after structural relaxation.

Lattice parameters (Å, degrees): 7.0616 7.0616 11.9841 90.00 90.00 90.00
With the nearest neighbours (Å) after each atom.
Atoms (fractional coordinates):
1 O 0.7553 0.9339 0.3809  2 H 0.98-0.99
2 O 0.6476 0.7969 0.1433  1 C 1.27
3 H 0.4829 0.3536 0.7675  1 C 1.10
4 S 0.1118 0.2587 0.1727  4 O 1.48-1.50
5 O 0.1133 0.0379 0.4466  1 S 1.50
6 O 0.0379 0.8867 0.6966  1 S 1.50
7 H 0.5171 0.6464 0.2675  1 C 1.10
8 Ce 0.6082 0.1327 0.2284  7 O 2.39-2.65
9 O 0.6551 0.4814 0.1521  1 C 1.28
10 O 0.7102 0.8375 0.6391  1 S 1.48
11 O 0.2031 0.6476 0.8933  1 C 1.27
12 O 0.3806 0.9508 0.3291  1 S 1.48
13 O 0.9508 0.6194 0.5791  1 S 1.48
14 S 0.8882 0.7413 0.6727  4 O 1.48-1.50
15 C 0.3960 0.3576 0.6909  1 H 1.10
16 O 0.2898 0.1625 0.1391  1 S 1.48
17 O 0.2447 0.0661 0.8809  2 H 0.98-0.99
18 O 0.8375 0.2898 0.8891  1 S 1.48
19 O 0.3775 0.8557 0.5227  1 S 1.48
20 H 0.0358 0.8851 0.1571  1 O 0.99
21 H 0.8851 0.9642 0.4071  1 O 0.99
22 H 0.6845 0.8957 0.4474  1 O 0.98
23 H 0.3155 0.1043 0.9474  1 O 0.98
24 O 0.0492 0.3806 0.0791  1 S 1.48
25 Ce 0.3918 0.8673 0.7284  7 O 2.39-2.65
26 O 0.4814 0.3449 0.4021  1 C 1.28
27 O 0.3524 0.2031 0.6433  1 C 1.27
28 Ce 0.8673 0.6082 0.9784  7 O 2.39-2.65
29 O 0.1443 0.3775 0.2727  1 S 1.48
30 H 0.8957 0.3155 0.6974  1 O 0.98
31 H 0.1043 0.6845 0.1974  1 O 0.98
32 H 0.3536 0.5171 0.0175  1 C 1.10
33 H 0.1149 0.0358 0.9071  1 O 0.99
34 O 0.3449 0.5186 0.6521  1 C 1.28
35 Ce 0.1327 0.3918 0.4784  7 O 2.39-2.65
36 O 0.0661 0.7553 0.1309  2 H 0.98-0.99
37 O 0.6225 0.1443 0.0227  1 S 1.48
38 C 0.6424 0.3960 0.4409  1 H 1.10
39 O 0.8557 0.6225 0.7727  1 S 1.48
40 O 0.7969 0.3524 0.3933  1 C 1.27
41 S 0.7413 0.1118 0.9227  4 O 1.48-1.50
42 C 0.3576 0.6040 0.9409  1 H 1.10
43 H 0.6464 0.4829 0.5175  1 C 1.10
44 C 0.6040 0.6424 0.1909  1 H 1.10
45 H 0.9642 0.1149 0.6571  1 O 0.99
46 O 0.9621 0.1133 0.1966  1 S 1.50
47 O 0.1625 0.7102 0.3891  1 S 1.48
48 O 0.9339 0.2447 0.6309  2 H 0.98-0.99
49 O 0.8867 0.9621 0.9466  1 S 1.50
50 O 0.6194 0.0492 0.8291  1 S 1.48
51 S 0.2587 0.8882 0.4227  4 O 1.48-1.50
52 O 0.5186 0.6551 0.9021  1 C 1.28

Calculated values
The crystal system is tetragonal. The symmetry is P4_3. For the formation energy, the calculation gives -1999 meV per atom.

[2]
The following is a DFT calculation (PBE) of CeH3CSO7 after structural relaxation.

Lattice parameters (Å, degrees): 7.0673 7.0673 12.0396 90.00 90.00 90.00
With the nearest neighbours (Å) after each atom.
Atoms (fractional coordinates):
1 O 0.3765 0.8529 0.1785  1 S 1.48
2 H 0.8851 0.9545 0.3018  1 O 0.99
3 O 0.1471 0.3765 0.4285  1 S 1.48
4 H 0.1149 0.0455 0.8018  1 O 0.99
5 H 0.3147 0.0869 0.7508  1 O 0.98
6 O 0.6235 0.1471 0.6785  1 S 1.48
7 H 0.9545 0.1149 0.0518  1 O 0.99
8 C 0.3939 0.3557 0.0092  1 H 1.10
9 O 0.8529 0.6235 0.9285  1 S 1.48
10 O 0.7983 0.3520 0.3081  1 C 1.27
11 S 0.8892 0.7412 0.0283  4 O 1.48-1.50
12 C 0.3557 0.6061 0.7592  1 H 1.10
13 O 0.1143 0.0395 0.2543  1 S 1.50
14 O 0.9605 0.1143 0.5043  1 S 1.50
15 O 0.1617 0.7121 0.3127  1 S 1.49
16 O 0.2017 0.6480 0.8081  1 C 1.27
17 O 0.8383 0.2879 0.8127  1 S 1.49
18 O 0.3801 0.9528 0.3710  1 S 1.48
19 Ce 0.1344 0.3925 0.2239  7 O 2.40-2.64
20 Ce 0.6075 0.1344 0.4739  7 O 2.40-2.64
21 O 0.2879 0.1617 0.5627  1 S 1.49
22 H 0.6853 0.9131 0.2508  1 O 0.98
23 O 0.7512 0.9334 0.3214  2 H 0.98-0.99
24 O 0.0472 0.3801 0.6210  1 S 1.48
25 O 0.3453 0.5165 0.0480  1 C 1.28
26 O 0.6547 0.4835 0.5480  1 C 1.28
27 O 0.0395 0.8857 0.0043  1 S 1.50
28 O 0.6480 0.7983 0.5581  1 C 1.27
29 O 0.6199 0.0472 0.8710  1 S 1.48
30 O 0.9528 0.6199 0.1210  1 S 1.48
31 S 0.7412 0.1108 0.7783  4 O 1.48-1.50
32 Ce 0.3925 0.8656 0.9739  7 O 2.40-2.64
33 H 0.4762 0.3495 0.9314  1 C 1.10
34 Ce 0.8656 0.6075 0.7239  7 O 2.40-2.64
35 O 0.2488 0.0666 0.8214  2 H 0.98-0.99
36 H 0.9131 0.3147 0.0008  1 O 0.98
37 C 0.6443 0.3939 0.2592  1 H 1.10
38 O 0.9334 0.2488 0.0714  2 H 0.98-0.99
39 H 0.6505 0.4762 0.1814  1 C 1.10
40 O 0.0666 0.7512 0.5714  2 H 0.98-0.99
41 O 0.3520 0.2017 0.0581  1 C 1.27
42 O 0.5165 0.6547 0.7980  1 C 1.28
43 O 0.7121 0.8383 0.0627  1 S 1.49
44 H 0.0869 0.6853 0.5008  1 O 0.98
45 S 0.2588 0.8892 0.2783  4 O 1.48-1.50
46 H 0.5238 0.6505 0.4314  1 C 1.10
47 O 0.4835 0.3453 0.2980  1 C 1.28
48 C 0.6061 0.6443 0.5092  1 H 1.10
49 H 0.3495 0.5238 0.6814  1 C 1.10
50 S 0.1108 0.2588 0.5283  4 O 1.48-1.50
51 O 0.8857 0.9605 0.7543  1 S 1.50
52 H 0.0455 0.8851 0.5518  1 O 0.99

Calculated values
The crystal system is tetragonal. The symmetry is P4_1. For the formation energy, the calculation gives -1998 meV per atom.

[3]
The following is a DFT calculation (PBE) of Ce7C3I10 after structural relaxation.

Lattice parameters (Å, degrees): 9.7335 11.7141 13.8918 79.58 71.27 66.17
With the nearest neighbours (Å) after each atom.
Atoms (fractional coordinates):
1 Ce 0.9548 0.1143 0.8270  4 C 2.69-2.70
2 I 0.5042 0.2186 0.1684  3 Ce 3.16-3.27
3 I 0.0412 0.4347 0.3616  3 Ce 3.18-3.54
4 I 0.6067 0.0786 0.8792  4 Ce 3.22-3.49
5 Ce 0.5446 0.7948 0.3073  2 C 2.60-2.61
6 C 0.2432 0.1101 0.7253  1 C 1.41
7 C 0.0387 0.9426 0.9768  1 C 1.41
8 I 0.7142 0.9531 0.5696  4 Ce 3.24-3.32
9 C 0.8349 0.7742 0.2282  1 C 1.41
10 C 0.9613 0.0574 0.0232  1 C 1.41
11 Ce 0.8639 0.7256 0.4125  2 C 2.60
12 I 0.1868 0.7530 0.3735  3 Ce 3.15-3.52
13 I 0.5624 0.6556 0.5240  3 Ce 3.18-3.37
14 Ce 0.6235 0.0734 0.3590  1 C 2.31
15 Ce 0.1656 0.7557 0.9007  1 C 2.29
16 Ce 0.1361 0.2744 0.5875  2 C 2.60
17 I 0.3933 0.9214 0.1208  4 Ce 3.22-3.49
18 I 0.2844 0.6090 0.0917  3 Ce 3.16-3.28
19 I 0.9319 0.1303 0.3036  3 Ce 3.16-3.28
20 Ce 0.8344 0.2443 0.0993  1 C 2.29
21 I 0.4376 0.3444 0.4760  3 Ce 3.18-3.37
22 Ce 0.4554 0.2052 0.6927  2 C 2.60-2.61
23 Ce 0.3765 0.9266 0.6410  1 C 2.31
24 Ce 0.2476 0.0519 0.9205  4 C 2.67-2.70
25 I 0.8529 0.6974 0.9553  4 Ce 3.20-3.43
26 I 0.4958 0.7814 0.8316  3 Ce 3.16-3.27
27 I 0.9588 0.5653 0.6384  3 Ce 3.18-3.54
28 C 0.7568 0.8899 0.2747  1 C 1.41
29 I 0.3516 0.4777 0.7764  3 Ce 3.16-3.48
30 I 0.6484 0.5223 0.2236  3 Ce 3.16-3.48
31 I 0.2858 0.0469 0.4304  4 Ce 3.24-3.32
32 I 0.7156 0.3910 0.9083  3 Ce 3.16-3.28
33 I 0.0681 0.8697 0.6964  3 Ce 3.16-3.28
34 Ce 0.7524 0.9481 0.0795  4 C 2.67-2.70
35 Ce 0.0452 0.8857 0.1730  4 C 2.69-2.70
36 C 0.1651 0.2258 0.7718  1 C 1.41
37 Ce 0.0434 0.4185 0.8405  1 C 2.30
38 Ce 0.9566 0.5815 0.1595  1 C 2.30
39 I 0.1471 0.3026 0.0447  4 Ce 3.20-3.43
40 I 0.8132 0.2470 0.6265  3 Ce 3.15-3.52

Calculated values
The crystal system is triclinic. The symmetry is P-1. For the formation energy, the calculation gives -1289 meV per atom.

[4]
The following is a DFT calculation (PBE) of K3NaCeC3O15 after structural relaxation.

Lattice parameters (Å, degrees): 8.2934 9.6755 10.3603 99.50 99.04 109.23
With the nearest neighbours (Å) after each atom.
Atoms (fractional coordinates):
1 Na 0.2363 0.6102 0.7369  4 O 2.26-2.53
2 O 0.5129 0.3074 0.8161  1 C 1.33
3 C 0.1766 0.6911 0.4371  3 O 1.26-1.32
4 O 0.8250 0.2881 0.4394  1 C 1.26
5 O 0.9532 0.1699 0.8401  1 C 1.30
6 O 0.4871 0.6926 0.1839  1 C 1.33
7 O 0.0551 0.5787 0.3452  1 C 1.32
8 O 0.3829 0.4502 0.7198  1 C 1.26
9 C 0.8234 0.3089 0.5629  3 O 1.26-1.32
10 O 0.0468 0.8301 0.1599  1 C 1.30
11 O 0.4723 0.8651 0.8751  1 O 2.30
12 O 0.1429 0.4993 0.9354  1 O 1.40
13 O 0.0688 0.6085 0.9210  1 O 1.40
14 K 0.2765 0.2238 0.9789  5 O 2.67-2.94
15 K 0.3976 0.0052 0.6507  8 O 2.73-2.98
16 K 0.7235 0.7762 0.0211  5 O 2.67-2.94
17 O 0.7010 0.2205 0.6098  1 C 1.31
18 O 0.6324 0.8474 0.5751  3 O 2.64-2.94, 2 K 2.72-2.95
19 C 0.4818 0.5719 0.2305  3 O 1.26-1.33
20 O 0.8173 0.9203 0.8251  1 C 1.28
21 O 0.6789 0.5232 0.7801  1 C 1.32
22 O 0.2990 0.7795 0.3902  1 C 1.31
23 Ce 0.1795 0.6439 0.1605  10 O 2.39-2.56
24 O 0.3676 0.1526 0.4249  3 O 2.64-2.94, 2 K 2.72-2.95
25 O 0.0782 0.9301 0.7906  1 O 2.22
26 O 0.9449 0.4213 0.6548  1 C 1.32
27 C 0.1817 0.9452 0.1583  3 O 1.28-1.31
28 O 0.0511 0.0634 0.5329  1 O 1.24
29 C 0.8183 0.0548 0.8417  3 O 1.28-1.31
30 O 0.5277 0.1349 0.1249  1 O 2.30
31 O 0.9312 0.3915 0.0790  1 O 1.40
32 K 0.8274 0.6703 0.5939  6 O 2.72-3.03
33 O 0.1750 0.7119 0.5606  1 C 1.26
34 O 0.1827 0.0797 0.1749  1 C 1.28
35 Na 0.7637 0.3898 0.2631  4 O 2.26-2.53
36 K 0.1726 0.3297 0.4061  6 O 2.72-3.03
37 O 0.6171 0.5498 0.2802  1 C 1.26
38 C 0.5182 0.4281 0.7695  3 O 1.26-1.33
39 O 0.6798 0.0848 0.8611  1 C 1.31
40 O 0.3211 0.4768 0.2199  1 C 1.32
41 O 0.9489 0.9366 0.4671  1 O 1.24
42 K 0.6024 0.9948 0.3493  8 O 2.73-2.98
43 O 0.9218 0.0699 0.2094  1 O 2.22
44 Ce 0.8205 0.3561 0.8395  10 O 2.39-2.56
45 O 0.8571 0.5007 0.0646  1 O 1.40
46 O 0.3202 0.9152 0.1389  1 C 1.31

Calculated values
The crystal system is triclinic. The symmetry is P-1. For the formation energy, the calculation gives -1335 meV per atom.